VASP calculation (PBE+U) on Na2PrWO6 after structural relaxation.

a = 6.071 Å, b = 6.071 Å, c = 6.071 Å
α = 60.00°, β = 60.00°, γ = 60.00°
Sites, in units of the cell vectors:
1 Na 0.250 0.250 0.250
2 Na 0.750 0.750 0.750
3 Pr 0.000 0.000 0.000
4 W 0.500 0.500 0.500
5 O 0.274 0.274 0.726
6 O 0.274 0.726 0.274
7 O 0.274 0.726 0.726
8 O 0.726 0.274 0.274
9 O 0.726 0.274 0.726
10 O 0.726 0.726 0.274

Values from the calculation:
polymorph energy (0 for the lowest one): 38 meV per atom
uncorrected energy: -6.524 eV per atom
energy of formation: -2.37 eV per atom
spin magnetization: 1.0 μB/f.u.